Record 1
MnB2H14N2: relaxed, PBE.

Computed properties:
M_tot: 0.264 μB per atom
Formation enthalpy at 0 K: -0.2276 eV per atom

Cell: 8.8284 9.4531 18.0333 Å, 90.00 90.00 90.00°
Positions (direct):
Mn  0.0266  0.1371  0.1233
Mn  0.0266  0.3629  0.6233
Mn  0.4734  0.6371  0.1233
Mn  0.4734  0.8629  0.6233
Mn  0.5266  0.1371  0.3767
Mn  0.5266  0.3629  0.8767
Mn  0.9734  0.6371  0.3767
Mn  0.9734  0.8629  0.8767
B  0.1744  0.0255  0.8917
B  0.1744  0.4745  0.3917
B  0.2272  0.5773  0.1355
B  0.2272  0.9227  0.6355
B  0.2728  0.0773  0.1355
B  0.2728  0.4227  0.6355
B  0.3256  0.5255  0.8917
B  0.3256  0.9745  0.3917
B  0.6744  0.0255  0.6083
B  0.6744  0.4745  0.1083
B  0.7272  0.5773  0.3645
B  0.7272  0.9227  0.8645
B  0.7728  0.0773  0.3645
B  0.7728  0.4227  0.8645
B  0.8256  0.5255  0.6083
B  0.8256  0.9745  0.1083
H  0.0185  0.2411  0.9803
H  0.0185  0.2589  0.4803
H  0.0436  0.1370  0.7187
H  0.0436  0.3630  0.2187
H  0.0529  0.7372  0.2387
H  0.0529  0.7628  0.7387
H  0.0765  0.5047  0.4395
H  0.0765  0.9953  0.9395
H  0.0780  0.6483  0.9666
H  0.0780  0.8517  0.4666
H  0.0982  0.5511  0.1533
H  0.0982  0.9489  0.6533
H  0.1083  0.1419  0.5311
H  0.1083  0.3581  0.0311
H  0.1219  0.0116  0.8280
H  0.1219  0.4884  0.3280
H  0.1350  0.6637  0.8025
H  0.1350  0.8363  0.3025
H  0.1846  0.0288  0.1832
H  0.1846  0.4712  0.6832
H  0.2000  0.1504  0.9019
H  0.2000  0.3496  0.4019
H  0.2149  0.0497  0.3998
H  0.2149  0.4503  0.8998
H  0.2392  0.0265  0.0746
H  0.2392  0.4735  0.5746
H  0.2442  0.7072  0.1327
H  0.2442  0.7928  0.6327
H  0.2558  0.2072  0.1327
H  0.2558  0.2928  0.6327
H  0.2608  0.5265  0.0746
H  0.2608  0.9735  0.5746
H  0.2851  0.5497  0.3998
H  0.2851  0.9503  0.8998
H  0.3000  0.6504  0.9019
H  0.3000  0.8496  0.4019
H  0.3154  0.5288  0.1832
H  0.3154  0.9712  0.6832
H  0.3650  0.1637  0.8025
H  0.3650  0.3363  0.3025
H  0.3781  0.5116  0.8280
H  0.3781  0.9884  0.3280
H  0.3917  0.6419  0.5311
H  0.3917  0.8581  0.0311
H  0.4018  0.0511  0.1533
H  0.4018  0.4489  0.6533
H  0.4220  0.1483  0.9666
H  0.4220  0.3517  0.4666
H  0.4235  0.0047  0.4395
H  0.4235  0.4953  0.9395
H  0.4471  0.2372  0.2387
H  0.4471  0.2628  0.7387
H  0.4564  0.6370  0.7187
H  0.4564  0.8630  0.2187
H  0.4815  0.7411  0.9803
H  0.4815  0.7589  0.4803
H  0.5185  0.2411  0.5197
H  0.5185  0.2589  0.0197
H  0.5436  0.1370  0.7813
H  0.5436  0.3630  0.2813
H  0.5529  0.7372  0.2613
H  0.5529  0.7628  0.7613
H  0.5765  0.5047  0.0605
H  0.5765  0.9953  0.5605
H  0.5780  0.6483  0.5334
H  0.5780  0.8517  0.0334
H  0.5982  0.5511  0.3467
H  0.5982  0.9489  0.8467
H  0.6083  0.1419  0.9689
H  0.6083  0.3581  0.4689
H  0.6219  0.0116  0.6720
H  0.6219  0.4884  0.1720
H  0.6350  0.6637  0.6975
H  0.6350  0.8363  0.1975
H  0.6846  0.0288  0.3168
H  0.6846  0.4712  0.8168
H  0.7000  0.1504  0.5981
H  0.7000  0.3496  0.0981
H  0.7149  0.0497  0.1002
H  0.7149  0.4503  0.6002
H  0.7392  0.0265  0.4254
H  0.7392  0.4735  0.9254
H  0.7442  0.7072  0.3673
H  0.7442  0.7928  0.8673
H  0.7558  0.2072  0.3673
H  0.7558  0.2928  0.8673
H  0.7608  0.5265  0.4254
H  0.7608  0.9735  0.9254
H  0.7851  0.5497  0.1002
H  0.7851  0.9503  0.6002
H  0.8000  0.6504  0.5981
H  0.8000  0.8496  0.0981
H  0.8154  0.5288  0.3168
H  0.8154  0.9712  0.8168
H  0.8650  0.1637  0.6975
H  0.8650  0.3363  0.1975
H  0.8781  0.5116  0.6720
H  0.8781  0.9884  0.1720
H  0.8917  0.6419  0.9689
H  0.8917  0.8581  0.4689
H  0.9018  0.0511  0.3467
H  0.9018  0.4489  0.8467
H  0.9220  0.1483  0.5334
H  0.9220  0.3517  0.0334
H  0.9235  0.0047  0.0605
H  0.9235  0.4953  0.5605
H  0.9471  0.2372  0.2613
H  0.9471  0.2628  0.7613
H  0.9564  0.6370  0.7813
H  0.9564  0.8630  0.2813
H  0.9815  0.7411  0.5197
H  0.9815  0.7589  0.0197
N  0.0180  0.2097  0.5309
N  0.0180  0.2903  0.0309
N  0.0360  0.7146  0.7889
N  0.0360  0.7854  0.2889
N  0.4640  0.2146  0.7889
N  0.4640  0.2854  0.2889
N  0.4820  0.7097  0.5309
N  0.4820  0.7903  0.0309
N  0.5180  0.2097  0.9691
N  0.5180  0.2903  0.4691
N  0.5360  0.7146  0.7111
N  0.5360  0.7854  0.2111
N  0.9640  0.2146  0.7111
N  0.9640  0.2854  0.2111
N  0.9820  0.7097  0.9691
N  0.9820  0.7903  0.4691

=====

Record 2
CsTiH10C4O13: relaxed, PBE.

Computed properties:
M_tot: 0.035 μB per atom
Formation enthalpy at 0 K: -1.5063 eV per atom
Energy relative to the lowest polymorph listed for this composition: 0.0875 eV/atom

Cell: 7.2284 11.9451 8.0157 Å, 90.00 102.08 90.00°
Positions (direct):
Cs  0.0562  0.2500  0.2402
Cs  0.9438  0.7500  0.7598
Ti  0.3165  0.2500  0.7994
Ti  0.6835  0.7500  0.2006
H  0.1225  0.5650  0.3817
H  0.1225  0.9350  0.3817
H  0.1636  0.5189  0.2096
H  0.1636  0.9811  0.2096
H  0.3211  0.6811  0.0770
H  0.3211  0.8189  0.0770
H  0.3788  0.0737  0.5641
H  0.3788  0.4263  0.5641
H  0.4521  0.6864  0.6029
H  0.4521  0.8136  0.6029
H  0.5479  0.1864  0.3971
H  0.5479  0.3136  0.3971
H  0.6212  0.5737  0.4359
H  0.6212  0.9263  0.4359
H  0.6789  0.1811  0.9230
H  0.6789  0.3189  0.9230
H  0.8364  0.0189  0.7904
H  0.8364  0.4811  0.7904
H  0.8775  0.0650  0.6183
H  0.8775  0.4350  0.6183
C  0.2757  0.0215  0.9258
C  0.2757  0.4785  0.9258
C  0.3241  0.5089  0.7601
C  0.3241  0.9911  0.7601
C  0.6759  0.0089  0.2399
C  0.6759  0.4911  0.2399
C  0.7243  0.5215  0.0742
C  0.7243  0.9785  0.0742
O  0.1294  0.2500  0.6368
O  0.1392  0.0045  0.3224
O  0.1392  0.4955  0.3224
O  0.2256  0.5530  0.0189
O  0.2256  0.9470  0.0189
O  0.2792  0.1292  0.9594
O  0.2792  0.3708  0.9594
O  0.3013  0.6015  0.6903
O  0.3013  0.8985  0.6903
O  0.3804  0.7500  0.1355
O  0.3980  0.0820  0.6889
O  0.3980  0.4180  0.6889
O  0.4755  0.2500  0.4298
O  0.5245  0.7500  0.5702
O  0.6020  0.5820  0.3111
O  0.6020  0.9180  0.3111
O  0.6196  0.2500  0.8645
O  0.6987  0.1015  0.3097
O  0.6987  0.3985  0.3097
O  0.7208  0.6292  0.0406
O  0.7208  0.8708  0.0406
O  0.7744  0.0530  0.9811
O  0.7744  0.4470  0.9811
O  0.8608  0.5045  0.6776
O  0.8608  0.9955  0.6776
O  0.8706  0.7500  0.3632

=====

Record 3
SmGe2Pt2: relaxed, PBE.

Computed properties:
M_tot: 0.000 μB per atom
Formation enthalpy at 0 K: -0.8994 eV per atom

Cell: 4.3762 10.0276 4.3628 Å, 90.00 90.00 90.00°
Positions (direct):
Sm  0.0000  0.2470  0.0000
Sm  0.5000  0.7530  0.5000
Ge  0.0000  0.0018  0.5194
Ge  0.0000  0.6320  0.9738
Ge  0.5000  0.3680  0.4738
Ge  0.5000  0.9982  0.0194
Pt  0.0000  0.5022  0.4717
Pt  0.0000  0.8760  0.0198
Pt  0.5000  0.1240  0.5198
Pt  0.5000  0.4978  0.9717

=====

Record 4
PW4Cl11: relaxed, PBE.

Computed properties:
Formation enthalpy at 0 K: -1.2042 eV per atom

Cell: 8.8568 8.8568 11.5333 Å, 90.65 90.65 69.41°
Positions (direct):
P  0.1771  0.1771  0.2482
P  0.8229  0.8229  0.7518
W  0.1442  0.4040  0.1276
W  0.1444  0.4036  0.3726
W  0.4040  0.1442  0.1276
W  0.4036  0.1444  0.3726
W  0.5964  0.8556  0.6274
W  0.5960  0.8558  0.8724
W  0.8556  0.5964  0.6274
W  0.8558  0.5960  0.8724
Cl  0.0173  0.6747  0.0169
Cl  0.0177  0.6748  0.4870
Cl  0.0369  0.0369  0.2473
Cl  0.1039  0.4910  0.7512
Cl  0.2511  0.5641  0.2525
Cl  0.3252  0.9823  0.5130
Cl  0.3253  0.9827  0.9831
Cl  0.3688  0.3688  0.5042
Cl  0.3686  0.3686  0.9988
Cl  0.4359  0.7489  0.7475
Cl  0.4910  0.1039  0.7512
Cl  0.5090  0.8961  0.2488
Cl  0.5641  0.2511  0.2525
Cl  0.6314  0.6314  0.0012
Cl  0.6312  0.6312  0.4958
Cl  0.6747  0.0173  0.0169
Cl  0.6748  0.0177  0.4870
Cl  0.7489  0.4359  0.7475
Cl  0.8961  0.5090  0.2488
Cl  0.9631  0.9631  0.7527
Cl  0.9823  0.3252  0.5130
Cl  0.9827  0.3253  0.9831

=====

Record 5
SmHoIn2: relaxed, PBE.

Computed properties:
Formation enthalpy at 0 K: -0.4648 eV per atom

Cell: 5.3596 5.3596 5.3596 Å, 60.00 60.00 60.00°
Positions (direct):
Sm  0.0000  0.0000  0.0000
Ho  0.5000  0.5000  0.5000
In  0.2500  0.2500  0.2500
In  0.7500  0.7500  0.7500

=====

Record 6
NaCaBeSi2O6F: relaxed, PBE.

Computed properties:
Formation enthalpy at 0 K: -3.2851 eV per atom

Cell: 7.4572 7.4737 10.0931 Å, 90.00 90.00 90.00°
Positions (direct):
Na  0.1039  0.1828  0.2556
Na  0.3961  0.8172  0.7556
Na  0.6039  0.3172  0.7444
Na  0.8961  0.6828  0.2444
Ca  0.0768  0.1451  0.7394
Ca  0.4232  0.8549  0.2394
Ca  0.5768  0.3549  0.2606
Ca  0.9232  0.6451  0.7606
Be  0.1190  0.8594  0.9674
Be  0.3810  0.1406  0.4674
Be  0.6190  0.6406  0.0326
Be  0.8810  0.3594  0.5326
Si  0.1000  0.8581  0.4768
Si  0.2368  0.4907  0.5010
Si  0.2632  0.5093  0.0010
Si  0.4000  0.1419  0.9768
Si  0.6000  0.6419  0.5232
Si  0.7368  0.0093  0.4990
Si  0.7632  0.9907  0.9990
Si  0.9000  0.3581  0.0232
O  0.0796  0.4119  0.5970
O  0.0903  0.8553  0.6359
O  0.0990  0.4139  0.0895
O  0.1479  0.6572  0.4109
O  0.1760  0.6626  0.9066
O  0.2458  0.9918  0.4106
O  0.2542  0.0082  0.9106
O  0.3240  0.3374  0.4066
O  0.3521  0.3428  0.9109
O  0.4010  0.5861  0.5895
O  0.4097  0.1447  0.1359
O  0.4204  0.5881  0.0970
O  0.5796  0.0881  0.4030
O  0.5903  0.6447  0.3641
O  0.5990  0.0861  0.9105
O  0.6479  0.8428  0.5891
O  0.6760  0.8374  0.0934
O  0.7458  0.5082  0.5894
O  0.7542  0.4918  0.0894
O  0.8240  0.1626  0.5934
O  0.8521  0.1572  0.0891
O  0.9010  0.9139  0.4105
O  0.9097  0.3553  0.8641
O  0.9204  0.9119  0.9030
F  0.1212  0.8526  0.1257
F  0.3788  0.1474  0.6257
F  0.6212  0.6474  0.8743
F  0.8788  0.3526  0.3743

=====

Record 7
Rb2SnO12: relaxed, PBE.

Computed properties:
M_tot: 0.400 μB per atom
Formation enthalpy at 0 K: -0.5472 eV per atom

Cell: 7.9777 7.9777 10.6002 Å, 90.00 90.00 120.00°
Positions (direct):
Rb  0.3333  0.6667  0.4698
Rb  0.3333  0.6667  0.9698
Rb  0.6667  0.3333  0.0302
Rb  0.6667  0.3333  0.5302
Sn  0.0000  0.0000  0.0000
Sn  0.0000  0.0000  0.5000
O  0.0248  0.3493  0.1240
O  0.0248  0.6754  0.6240
O  0.1333  0.2697  0.6135
O  0.1333  0.8637  0.1135
O  0.1363  0.2697  0.1135
O  0.1363  0.8667  0.6135
O  0.2697  0.1333  0.8865
O  0.2697  0.1363  0.3865
O  0.3246  0.3493  0.6240
O  0.3246  0.9752  0.1240
O  0.3493  0.0248  0.3760
O  0.3493  0.3246  0.8760
O  0.6507  0.6754  0.1240
O  0.6507  0.9752  0.6240
O  0.6754  0.0248  0.8760
O  0.6754  0.6507  0.3760
O  0.7303  0.8637  0.6135
O  0.7303  0.8667  0.1135
O  0.8637  0.1333  0.3865
O  0.8637  0.7303  0.8865
O  0.8667  0.1363  0.8865
O  0.8667  0.7303  0.3865
O  0.9752  0.3246  0.3760
O  0.9752  0.6507  0.8760

=====

Record 8
TmGaCu2: relaxed, PBE.

Computed properties:
M_tot: 0.000 μB per atom
Formation enthalpy at 0 K: -0.3524 eV per atom

Cell: 4.4978 4.4978 4.4978 Å, 60.00 60.00 60.00°
Positions (direct):
Tm  0.0000  0.0000  0.0000
Ga  0.5000  0.5000  0.5000
Cu  0.2500  0.2500  0.2500
Cu  0.7500  0.7500  0.7500

=====

Q: The highest formation enthalpy at 0 K belongs to which entry?
A: MnB2H14N2